Density functional theory data (PBE+U) for a relaxed structure of MgFe8O8F8.

```
MgFe8O8F8
1.0
9.893 0.131 0.000
0.133 9.897 0.000
0.000 0.000 3.147
Mg Fe O F
1 8 8 8
direct
0.749 0.015 0.500 Mg
0.063 0.004 0.000 Fe
0.018 0.496 0.000 Fe
0.233 0.261 0.500 Fe
0.219 0.728 0.500 Fe
0.501 0.499 0.000 Fe
0.467 0.990 0.000 Fe
0.781 0.395 0.500 Fe
0.731 0.700 0.500 Fe
0.111 0.412 0.500 O
0.112 0.902 0.500 O
0.167 0.158 0.000 O
0.133 0.654 0.000 O
0.597 0.408 0.500 O
0.636 0.661 0.000 O
0.875 0.348 0.000 O
0.881 0.576 0.500 O
0.347 0.340 0.000 F
0.335 0.832 0.000 F
0.395 0.103 0.500 F
0.379 0.603 0.500 F
0.587 0.896 0.500 F
0.662 0.100 0.000 F
0.815 0.878 0.000 F
0.928 0.083 0.500 F
```

Values from the calculation:
excess energy over the best structure of this formula in the dataset: 30.8 meV per atom


Density functional theory data (PBE+U) for a relaxed structure of Li3Mn2FeB3O9.

```
Li3Mn2FeB3O9
1.0
0.000 0.000 6.344
8.262 -0.017 3.172
4.116 7.140 0.000
Li Mn Fe B O
6 4 2 6 18
direct
0.600 0.301 0.983 Li
0.100 0.301 0.983 Li
0.392 0.717 0.301 Li
0.892 0.717 0.301 Li
0.258 0.985 0.715 Li
0.758 0.985 0.715 Li
0.494 0.012 0.361 Mn
0.186 0.628 0.012 Mn
0.994 0.012 0.361 Mn
0.686 0.628 0.012 Mn
0.320 0.359 0.633 Fe
0.820 0.359 0.633 Fe
0.000 0.000 0.998 B
0.500 0.000 0.998 B
0.418 0.664 0.667 B
0.918 0.664 0.667 B
0.083 0.334 0.336 B
0.583 0.334 0.336 B
0.403 0.195 0.917 O
0.903 0.195 0.917 O
0.472 0.557 0.580 O
0.972 0.557 0.580 O
0.056 0.888 0.191 O
0.556 0.888 0.191 O
0.461 0.578 0.860 O
0.961 0.578 0.860 O
0.321 0.858 0.560 O
0.821 0.858 0.560 O
0.139 0.222 0.253 O
0.639 0.222 0.253 O
0.040 0.921 0.883 O
0.540 0.921 0.883 O
0.123 0.253 0.529 O
0.623 0.253 0.529 O
0.986 0.528 0.223 O
0.486 0.528 0.223 O
```

Values from the calculation:
excess energy over the best structure of this formula in the dataset: 0.0 meV per atom


Question: Look up the excess energy over the best structure of this formula in the dataset of the first one.
Answer: 30.8 meV per atom


Question: excess energy over the best structure of this formula in the dataset of number 2 (Li3Mn2FeB3O9)?
Answer: 0.0 meV per atom